# 1
A plane-wave DFT calculation with meta-GGA r2SCAN was carried out for a relaxed LuSnRh2 crystal.

Cell: 4.614 4.614 4.614 Å, 60.00 60.00 60.00°
Sites, in units of the cell vectors:
Lu 0.000 0.000 0.000
Sn 0.500 0.500 0.500
Rh 0.250 0.250 0.250
Rh 0.750 0.750 0.750

Computed properties:
total DFT energy (no corrections)	-2.108	Ry per atom
spin magnetization	0.74	μB/f.u.

=====

# 2
A plane-wave DFT calculation with meta-GGA r2SCAN was carried out for a relaxed Pm2O3 crystal.

Cell: 3.805 3.805 5.971 Å, 90.00 90.00 120.00°
Sites, in units of the cell vectors:
Pm 0.333 0.667 0.248
Pm 0.667 0.333 0.752
O 0.000 0.000 0.000
O 0.333 0.667 0.645
O 0.667 0.333 0.355

Computed properties:
total DFT energy (no corrections)	-1.405	Ry per atom
spin magnetization	0.00	μB/f.u.

=====

# 3
A plane-wave DFT calculation with meta-GGA r2SCAN was carried out for a relaxed PuSi2Os2 crystal.

Cell: 5.724 5.724 5.724 Å, 137.45 137.45 61.75°
Sites, in units of the cell vectors:
Pu 0.000 0.000 0.000
Si 0.371 0.371 0.000
Si 0.629 0.629 0.000
Os 0.250 0.750 0.500
Os 0.750 0.250 0.500

Computed properties:
total DFT energy (no corrections)	-3.138	Ry per atom
spin magnetization	5.46	μB/f.u.

=====

# 4
A plane-wave DFT calculation with meta-GGA r2SCAN was carried out for a relaxed Y6NiBr10 crystal.

Cell: 7.260 9.054 9.081 Å, 108.18 97.09 105.59°
Sites, in units of the cell vectors:
Y 0.028 0.203 0.407
Y 0.123 0.544 0.254
Y 0.358 0.634 0.677
Y 0.642 0.366 0.323
Y 0.877 0.456 0.746
Y 0.972 0.797 0.593
Ni 0.000 0.500 0.500
Br 0.087 0.872 0.322
Br 0.214 0.239 0.147
Br 0.258 0.586 0.963
Br 0.360 0.960 0.775
Br 0.451 0.318 0.588
Br 0.549 0.682 0.412
Br 0.640 0.040 0.225
Br 0.742 0.414 0.037
Br 0.786 0.761 0.853
Br 0.913 0.128 0.678

Computed properties:
total DFT energy (no corrections)	-1.285	Ry per atom
spin magnetization	0.00	μB/f.u.

=====

# 5
A plane-wave DFT calculation with meta-GGA r2SCAN was carried out for a relaxed V4O5F7 crystal.

Cell: 5.126 5.216 8.790 Å, 74.42 89.76 60.66°
Sites, in units of the cell vectors:
V 0.000 0.000 0.000
V 0.220 0.529 0.754
V 0.463 0.979 0.499
V 0.750 0.482 0.268
O 0.116 0.250 0.345
O 0.124 0.236 0.928
O 0.168 0.737 0.886
O 0.306 0.733 0.600
O 0.657 0.758 0.383
F 0.249 0.240 0.638
F 0.293 0.732 0.184
F 0.621 0.257 0.437
F 0.633 0.225 0.843
F 0.743 0.234 0.138
F 0.784 0.746 0.087
F 0.793 0.744 0.681

Computed properties:
E above lowest polymorph	0.0	meV per atom
total DFT energy (no corrections)	-0.708	Ry per atom
spin magnetization	3.00	μB/f.u.

=====

# 6
A plane-wave DFT calculation with meta-GGA r2SCAN was carried out for a relaxed Si2Mo crystal.

Cell: 4.517 4.517 4.517 Å, 138.45 138.45 60.21°
Sites, in units of the cell vectors:
Si 0.165 0.165 0.000
Si 0.835 0.835 0.000
Mo 0.500 0.500 0.000

Computed properties:
total DFT energy (no corrections)	-1.103	Ry per atom
spin magnetization	0.00	μB/f.u.

=====

# 7
A plane-wave DFT calculation with meta-GGA r2SCAN was carried out for a relaxed Ho2RuAu crystal.

Cell: 4.891 4.891 4.891 Å, 60.00 60.00 60.00°
Sites, in units of the cell vectors:
Ho 0.250 0.250 0.250
Ho 0.750 0.750 0.750
Ru 0.000 0.000 0.000
Au 0.500 0.500 0.500

Computed properties:
total DFT energy (no corrections)	-2.654	Ry per atom
spin magnetization	0.00	μB/f.u.

=====

# 8
A plane-wave DFT calculation with meta-GGA r2SCAN was carried out for a relaxed CeTlAg2 crystal.

Cell: 5.080 5.080 5.080 Å, 60.00 60.00 60.00°
Sites, in units of the cell vectors:
Ce 0.000 0.000 0.000
Tl 0.500 0.500 0.500
Ag 0.250 0.250 0.250
Ag 0.750 0.750 0.750

Computed properties:
total DFT energy (no corrections)	-2.347	Ry per atom
spin magnetization	1.10	μB/f.u.

=====

# 9
A plane-wave DFT calculation with meta-GGA r2SCAN was carried out for a relaxed Na19Zr11S30 crystal.

Cell: 11.618 11.618 10.992 Å, 101.03 101.03 58.97°
Sites, in units of the cell vectors:
Na 0.000 0.000 0.000
Na 0.057 0.739 0.195
Na 0.139 0.462 0.398
Na 0.200 0.200 0.100
Na 0.204 0.204 0.602
Na 0.261 0.943 0.805
Na 0.342 0.658 0.000
Na 0.399 0.399 0.198
Na 0.401 0.401 0.701
Na 0.462 0.139 0.398
Na 0.538 0.861 0.602
Na 0.599 0.599 0.299
Na 0.601 0.601 0.802
Na 0.658 0.342 0.000
Na 0.739 0.057 0.195
Na 0.796 0.796 0.398
Na 0.800 0.800 0.900
Na 0.861 0.538 0.602
Na 0.943 0.261 0.805
Zr 0.000 0.000 0.500
Zr 0.068 0.734 0.698
Zr 0.132 0.471 0.898
Zr 0.266 0.932 0.302
Zr 0.340 0.660 0.500
Zr 0.471 0.132 0.898
Zr 0.529 0.868 0.102
Zr 0.660 0.340 0.500
Zr 0.734 0.068 0.698
Zr 0.868 0.529 0.102
Zr 0.932 0.266 0.302
S 0.007 0.007 0.261
S 0.075 0.719 0.931
S 0.076 0.740 0.463
S 0.116 0.475 0.132
S 0.125 0.486 0.665
S 0.187 0.187 0.348
S 0.214 0.214 0.853
S 0.260 0.924 0.537
S 0.281 0.925 0.069
S 0.317 0.676 0.732
S 0.324 0.683 0.268
S 0.388 0.388 0.947
S 0.409 0.409 0.452
S 0.475 0.116 0.132
S 0.486 0.125 0.665
S 0.514 0.875 0.335
S 0.525 0.884 0.868
S 0.591 0.591 0.548
S 0.612 0.612 0.053
S 0.676 0.317 0.732
S 0.683 0.324 0.268
S 0.719 0.075 0.931
S 0.740 0.076 0.463
S 0.786 0.786 0.147
S 0.813 0.813 0.652
S 0.875 0.514 0.335
S 0.884 0.525 0.868
S 0.924 0.260 0.537
S 0.925 0.281 0.069
S 0.993 0.993 0.739

Computed properties:
total DFT energy (no corrections)	-0.811	Ry per atom
spin magnetization	3.02	μB/f.u.

=====

# 10
A plane-wave DFT calculation with meta-GGA r2SCAN was carried out for a relaxed Mg2V2O7 crystal.

Cell: 4.950 5.407 10.561 Å, 101.24 102.17 98.62°
Sites, in units of the cell vectors:
Mg 0.013 0.290 0.085
Mg 0.075 0.288 0.583
Mg 0.925 0.712 0.417
Mg 0.987 0.710 0.915
V 0.355 0.296 0.865
V 0.463 0.149 0.359
V 0.537 0.851 0.641
V 0.645 0.704 0.135
O 0.125 0.459 0.784
O 0.191 0.076 0.932
O 0.207 0.054 0.437
O 0.263 0.616 0.540
O 0.292 0.577 0.041
O 0.323 0.262 0.231
O 0.402 0.127 0.710
O 0.598 0.873 0.290
O 0.677 0.738 0.769
O 0.708 0.423 0.959
O 0.737 0.384 0.460
O 0.793 0.946 0.563
O 0.809 0.924 0.068
O 0.875 0.541 0.216

Computed properties:
total DFT energy (no corrections)	-0.726	Ry per atom
spin magnetization	0.00	μB/f.u.

=====

# 11
A plane-wave DFT calculation with meta-GGA r2SCAN was carried out for a relaxed Pm3Y crystal.

Cell: 6.271 6.271 6.271 Å, 131.21 131.21 71.48°
Sites, in units of the cell vectors:
Pm 0.000 0.000 0.000
Pm 0.250 0.750 0.500
Pm 0.750 0.250 0.500
Y 0.500 0.500 0.000

Computed properties:
E above lowest polymorph	9.1	meV per atom
total DFT energy (no corrections)	-1.999	Ry per atom
spin magnetization	0.00	μB/f.u.

=====

# 12
A plane-wave DFT calculation with meta-GGA r2SCAN was carried out for a relaxed As2Rh crystal.

Cell: 6.088 6.103 6.179 Å, 90.00 114.10 90.00°
Sites, in units of the cell vectors:
As 0.157 0.128 0.370
As 0.157 0.372 0.870
As 0.339 0.629 0.682
As 0.339 0.871 0.182
As 0.661 0.129 0.818
As 0.661 0.371 0.318
As 0.843 0.628 0.130
As 0.843 0.872 0.630
Rh 0.272 0.501 0.289
Rh 0.272 0.999 0.789
Rh 0.728 0.001 0.211
Rh 0.728 0.499 0.711

Computed properties:
total DFT energy (no corrections)	-1.354	Ry per atom
spin magnetization	0.00	μB/f.u.

=====

Number 1: energy of formation -910 meV per atom. Number 2: energy of formation -3718 meV per atom. Number 3: energy of formation -719 meV per atom. Number 4: energy of formation -1816 meV per atom. Number 5: energy of formation -2880 meV per atom. Number 6: energy of formation -466 meV per atom. Number 7: energy of formation -666 meV per atom. Number 8: energy of formation -246 meV per atom. Number 9: energy of formation -1711 meV per atom. Number 10: energy of formation -2754 meV per atom. Number 11: energy of formation 38 meV per atom. Number 12: energy of formation -573 meV per atom.